Entry 1:
Bi3BrO4 | Materials Project | PBE | optimized geometry; total energy = -5.344 eV per atom; energy relative to the elements = -1.55 eV per atom
1.0
5.819 0.000 0.000
0.000 19.309 0.000
0.000 0.000 5.841
Bi Br O
12 4 16
Cartesian
1.165 2.717 1.179
1.165 6.938 1.742
1.455 0.000 4.096
1.455 9.655 4.665
1.745 12.372 1.742
1.745 16.592 1.179
4.075 2.717 4.662
4.075 6.938 4.099
4.364 0.000 1.745
4.364 9.655 1.176
4.654 12.372 4.099
4.654 16.592 4.662
1.332 4.827 4.381
1.578 14.482 4.381
4.242 4.827 1.460
4.487 14.482 1.460
0.094 11.352 2.671
0.094 17.612 0.249
0.421 1.236 2.523
0.421 8.419 0.398
2.489 10.890 0.398
2.489 18.074 2.523
2.816 1.697 0.249
2.816 7.957 2.671
3.004 11.352 3.170
3.004 17.612 5.591
3.330 1.236 3.318
3.330 8.419 5.443
5.398 10.890 5.443
5.398 18.074 3.318
5.725 1.697 5.591
5.725 7.957 3.170



Entry 2:
Er3Cu4Sn4 | Materials Project | PBE | optimized geometry; total energy = -4.681 eV per atom; energy relative to the elements = -0.49 eV per atom
1.0
8.082 -2.227 0.000
8.082 2.227 0.000
-2.932 0.000 6.285
Er Cu Sn
3 4 4
Cartesian
0.000 0.000 0.000
0.228 0.000 4.022
13.003 0.000 2.263
3.340 0.000 3.966
5.390 0.000 0.127
7.842 0.000 6.158
9.891 0.000 2.319
2.910 0.000 1.297
5.932 0.000 4.378
7.299 0.000 1.907
10.322 0.000 4.989



Entry 3:
Ga3B4Pt9 | Materials Project | PBE | optimized geometry; total energy = -6.045 eV per atom; energy relative to the elements = -0.39 eV per atom
1.0
8.800 0.000 0.000
-4.400 7.621 0.000
0.000 0.000 6.577
Ga B Pt
6 8 18
Cartesian
-1.707 3.740 1.644
-0.308 7.229 1.644
4.092 0.392 4.933
2.014 4.273 1.644
2.694 3.881 4.933
6.415 3.348 4.933
-3.610 6.253 0.000
-3.610 6.253 3.289
0.790 1.368 0.000
0.790 1.368 3.289
0.000 5.081 4.933
4.400 2.540 1.644
7.220 0.000 0.000
7.220 0.000 3.289
-0.748 1.409 1.644
-2.806 7.565 1.644
1.594 0.057 4.933
-1.565 5.537 3.430
-1.565 5.537 6.436
0.387 3.497 3.430
0.387 3.497 6.436
2.835 2.084 0.141
2.835 2.084 3.147
1.178 6.208 3.430
1.178 6.208 6.436
5.578 1.413 0.141
5.578 1.413 3.147
4.788 4.124 0.141
4.788 4.124 3.147
3.554 6.269 1.644
3.652 6.213 4.933
7.954 1.352 4.933